Record 1
# Li4Ti3V2Cr3O16 (PBE+U, optimized geometry)
data_Li4Ti3V2Cr3O16
_cell_length_a 10.2288
_cell_length_b 5.9332
_cell_length_c 9.5552
_cell_angle_alpha 90.00
_cell_angle_beta 90.88
_cell_angle_gamma 90.00
_symmetry_space_group_name_H-M 'C 1 m 1'
_symmetry_Int_Tables_number 8
_symmetry_space_group_name_Hall 'C -2y'
loop_
_atom_site_label
_atom_site_fract_x
_atom_site_fract_y
_atom_site_fract_z
Li1 0.0000 0.0000 0.0000
Li2 0.0017 0.0000 0.5048
Li3 0.1636 0.5000 0.1000
Li4 0.3316 0.0000 0.6066
Ti1 0.3246 0.5000 0.7788
Ti2 0.4125 0.2491 0.2834
V1 0.1602 0.5000 0.5116
V2 0.3264 0.0000 0.0048
Cr1 0.0801 0.2584 0.7848
Cr2 0.1685 0.0000 0.2855
O1 0.0143 0.5000 0.6609
O2 0.0769 0.2472 0.3968
O3 0.1704 0.5000 0.8944
O4 0.1714 0.0000 0.9041
O5 0.2395 0.2812 0.6578
O6 0.2603 0.2208 0.1571
O7 0.3357 0.5000 0.3905
O8 0.3386 0.0000 0.3944
O9 0.4136 0.2498 0.9017
O10 0.4756 0.0000 0.1576
O11 0.4943 0.5000 0.6909
O12 0.4966 0.5000 0.1862
# Volume: 10.35 Å³ per atom
# Spin magnetization: 24.00 μB/cell
# Electronic total energy: -429.40 eV per cell

Record 2
# Li4Ti2V3Cr4O18 (PBE+U, optimized geometry)
data_Li4Ti2V3Cr4O18
_cell_length_a 8.9626
_cell_length_b 24.9849
_cell_length_c 2.9769
_cell_angle_alpha 90.00
_cell_angle_beta 90.00
_cell_angle_gamma 90.00
_symmetry_space_group_name_H-M 'P b a m'
_symmetry_Int_Tables_number 55
_symmetry_space_group_name_Hall '-P 2 2ab'
loop_
_atom_site_label
_atom_site_fract_x
_atom_site_fract_y
_atom_site_fract_z
Li1 0.1878 0.0062 0.0000
Li2 0.2080 0.8100 0.0000
Ti1 0.0068 0.1026 0.0000
V1 0.0000 0.5000 0.0000
V2 0.1454 0.1974 0.5000
Cr1 0.0191 0.6894 0.0000
Cr2 0.1484 0.4137 0.5000
O1 0.0005 0.4242 0.0000
O2 0.0458 0.8402 0.5000
O3 0.0608 0.0582 0.5000
O4 0.0908 0.2438 0.0000
O5 0.1133 0.3354 0.5000
O6 0.1504 0.4953 0.5000
O7 0.1525 0.7152 0.5000
O8 0.1877 0.1463 0.0000
O9 0.2019 0.9143 0.0000
# Volume: 10.75 Å³ per atom
# Spin magnetization: 30.00 μB/cell
# Electronic total energy: -465.20 eV per cell